Here is crystalline CdGe7N10 at its relaxed geometry from Materials Project. Energies are from GGA-PBE.

Cell and atoms, written as POSCAR:
```
CdGe7N10
1.0
7.1362 0.0000 0.0701
0.0000 7.2881 0.0000
-2.6577 0.0000 9.9727
Cd Ge N
2 14 20
Cartesian
5.2320 6.9383 7.0770
6.5609 0.3497 2.0907
1.7126 7.1324 8.2530
3.0414 0.1557 3.2666
2.4150 0.1689 0.2362
1.0862 7.1192 5.2226
0.5808 2.8987 0.7259
-0.7480 4.3893 5.7122
2.0813 2.6285 9.9480
3.4101 4.6596 4.9617
3.8839 4.4792 8.1094
5.2128 2.8089 3.1231
-0.2034 4.5218 8.8070
1.1255 2.7663 3.8206
1.6410 2.6734 6.8668
2.9699 4.6147 1.8805
3.2892 6.2293 8.0861
4.6181 1.0588 3.0998
1.3933 0.9559 9.7309
2.7221 6.3322 4.7446
-0.0505 6.3691 8.6383
1.2783 0.9189 3.6519
0.8512 1.0861 0.3995
-0.4776 6.2020 5.3859
0.1527 3.7145 7.2012
1.4815 3.5735 2.2149
1.3527 0.8704 6.7424
2.6816 6.4176 1.7561
5.9434 2.8646 1.3613
4.6145 4.4235 6.3477
-1.9384 4.1761 9.3341
-0.6095 3.1120 4.3477
2.8170 2.9856 8.2674
4.1459 4.3024 3.2811
3.5071 3.9672 0.2350
2.1782 3.3208 5.2214
```

Values from the calculation:
energy of formation = -100 meV/atom
final energy = -6.379 eV per atom
symmetry = Pc